Li4Ti2Mn3V3O16 (PBE with a Hubbard U, optimized geometry); E_form = -2.56 eV/atom; symmetry = No. 1; corrected total energy (MP2020 scheme) = -228.972 eV/cell; excess energy over the best structure of this formula in the dataset = 0.0000 eV per atom; magnetic moment = 16.000 μB per cell
1.0
5.884 0.000 0.000
2.922 5.259 0.000
0.056 0.507 9.601
Li Ti Mn V O
4 2 3 3 16
Direct
0.000 0.000 0.000
0.004 0.996 0.498
0.336 0.329 0.909
0.652 0.690 0.409
0.346 0.326 0.504
0.657 0.684 0.006
0.165 0.178 0.217
0.657 0.183 0.218
0.834 0.335 0.715
0.163 0.659 0.235
0.348 0.811 0.727
0.844 0.808 0.728
0.001 0.999 0.308
0.010 0.981 0.813
0.028 0.512 0.354
0.169 0.662 0.612
0.187 0.149 0.595
0.323 0.356 0.117
0.343 0.812 0.103
0.463 0.505 0.359
0.471 0.060 0.344
0.499 0.539 0.851
0.522 0.957 0.849
0.651 0.703 0.611
0.666 0.150 0.597
0.836 0.329 0.097
0.841 0.813 0.101
0.963 0.537 0.852